A relaxed structure of K2LiNd4Nb2O12. Source: the Materials Project, functional GGA-PBE.

Geometry as CIF:
```
data_K2LiNd4Nb2O12
_cell_length_a 12.739
_cell_length_b 5.789
_cell_length_c 8.867
_cell_angle_alpha 90.00
_cell_angle_beta 104.01
_cell_angle_gamma 90.00
_space_group_name_H-M_alt 'C 1 2 1'
_space_group_IT_number 5
loop_
_space_group_symop_operation_xyz
'x,y,z'
'-x,y,-z'
'x+1/2,y+1/2,z'
'-x+1/2,y+1/2,-z'
loop_
_atom_site_label
_atom_site_type_symbol
_atom_site_fract_x
_atom_site_fract_y
_atom_site_fract_z
K1 K 0.121 0.000 0.482
Li1 Li 0.000 0.538 0.500
Nd1 Nd 0.082 0.487 0.196
Nd2 Nd 0.127 0.986 0.921
Nb1 Nb 0.173 0.486 0.719
O1 O 0.000 0.233 0.000
O2 O 0.000 0.739 0.000
O3 O 0.049 0.722 0.700
O4 O 0.051 0.257 0.706
O5 O 0.162 0.493 0.499
O6 O 0.230 0.748 0.164
O7 O 0.231 0.226 0.165
```

Results
The formation energy from the elements comes out at -66.8 eV/f.u. Its magnetic moment is 0.1 μB/f.u.

***

A relaxed structure of K3Li2Nb5O15. Source: the Materials Project, functional GGA-PBE.

Geometry as CIF:
```
data_K3Li2Nb5O15
_cell_length_a 12.868
_cell_length_b 12.868
_cell_length_c 4.039
_cell_angle_alpha 90.00
_cell_angle_beta 90.00
_cell_angle_gamma 90.00
_space_group_name_H-M_alt 'P 4/m b m'
_space_group_IT_number 127
_space_group_name_Hall '-P 4 2ab'
loop_
_atom_site_label
_atom_site_type_symbol
_atom_site_fract_x
_atom_site_fract_y
_atom_site_fract_z
K1 K 0.000 0.000 0.000
K2 K 0.172 0.328 0.000
Li1 Li 0.123 0.623 0.000
Nb1 Nb 0.000 0.500 0.500
Nb2 Nb 0.076 0.793 0.500
O1 O 0.000 0.500 0.000
O2 O 0.003 0.654 0.500
O3 O 0.068 0.141 0.500
O4 O 0.079 0.784 0.000
O5 O 0.210 0.710 0.500
```

Results
The formation energy from the elements comes out at -71.3 eV/f.u. Its magnetic moment is 0.0 μB/f.u.